No. 1
! SmFeO3 | Materials Project | GGA+U | relaxed; values from VASP
&SYSTEM
  ibrav = 0, nat = 20, ntyp = 3
/
ATOMIC_SPECIES
Fe 55.84 Fe.upf
Sm 150.36 Sm.upf
O 16.00 O.upf
CELL_PARAMETERS angstrom
7.900 0.000 0.000
0.000 6.195 0.000
0.000 0.000 6.619
ATOMIC_POSITIONS angstrom
Fe 3.950 0.000 0.000
Fe 0.000 3.097 3.310
Fe 0.000 3.097 0.000
Fe 3.950 0.000 3.310
Sm 7.146 5.865 4.965
Sm 4.704 2.767 4.965
Sm 0.754 0.330 1.655
Sm 3.196 3.428 1.655
O 4.408 4.414 6.559
O 6.970 3.436 4.965
O 4.408 4.414 3.371
O 7.442 1.316 6.559
O 0.458 4.878 0.061
O 3.492 1.781 3.249
O 4.880 0.338 4.965
O 7.442 1.316 3.371
O 3.020 5.857 1.655
O 0.458 4.878 3.249
O 3.492 1.781 0.061
O 0.930 2.759 1.655
! calculated formation energy: -1191 kJ/mol of formula units

=====

No. 2
! Li3MnPCO7 | Materials Project | GGA+U | relaxed; values from VASP
&SYSTEM
  ibrav = 0, nat = 26, ntyp = 5
/
ATOMIC_SPECIES
Li 6.94 Li.upf
C 12.01 C.upf
P 30.97 P.upf
O 16.00 O.upf
Mn 54.94 Mn.upf
CELL_PARAMETERS angstrom
5.281 0.000 0.000
0.000 6.711 0.000
0.000 0.000 8.330
ATOMIC_POSITIONS angstrom
Li 2.113 4.867 5.973
Li 5.104 3.355 7.663
Li 4.754 5.199 2.357
Li 4.754 1.512 2.357
Li 2.464 0.000 0.667
Li 2.113 1.843 5.973
C 2.595 3.355 0.084
C 5.235 0.000 8.246
P 2.813 0.000 3.407
P 0.172 3.355 4.923
O 2.623 3.355 7.130
O 2.030 0.000 4.754
O 5.181 2.121 5.831
O 1.705 3.355 4.609
O 3.705 3.355 0.769
O 1.454 3.355 0.709
O 5.264 0.000 1.200
O 4.670 3.355 3.576
O 4.346 0.000 3.721
O 5.181 4.590 5.831
O 2.540 5.477 2.499
O 2.540 1.234 2.499
O 4.094 0.000 7.621
O 1.065 0.000 7.561
Mn 2.517 3.355 2.716
Mn 5.158 0.000 5.614
! calculated formation energy: -2990 kJ/mol of formula units

=====

No. 3
! CaV8O8F8 | Materials Project | GGA+U | relaxed; values from VASP
&SYSTEM
  ibrav = 0, nat = 25, ntyp = 4
/
ATOMIC_SPECIES
O 16.00 O.upf
F 19.00 F.upf
Ca 40.08 Ca.upf
V 50.94 V.upf
CELL_PARAMETERS angstrom
3.121 2.790 2.548
0.103 7.002 -8.264
-4.387 3.131 1.981
ATOMIC_POSITIONS angstrom
O -0.200 9.224 -4.025
O 1.010 6.731 -2.166
O -3.512 4.876 0.818
O 0.232 6.099 0.481
O -2.595 9.208 -5.971
O 1.492 3.531 1.822
O -2.190 6.172 -1.336
O 1.154 5.728 -4.707
F 2.384 8.273 -4.254
F -0.343 4.181 -2.488
F -1.490 6.596 -3.973
F -1.018 3.531 0.133
F 2.136 4.308 -0.942
F -1.219 4.817 2.531
F 0.216 7.980 -6.652
F -0.881 8.685 -1.038
Ca -2.152 10.274 -4.120
V -1.681 5.504 0.442
V -0.411 2.874 2.110
V 2.033 5.159 0.966
V 0.848 7.697 -0.369
V 1.559 4.929 -2.899
V -4.158 3.342 1.701
V -3.220 7.638 -4.622
V 0.373 7.400 -3.826
! calculated formation energy: -6476 kJ/mol of formula units

=====

No. 4
! Sr2TiFeO6 | Materials Project | GGA+U | relaxed; values from VASP
&SYSTEM
  ibrav = 0, nat = 40, ntyp = 4
/
ATOMIC_SPECIES
Ti 47.87 Ti.upf
Sr 87.62 Sr.upf
O 16.00 O.upf
Fe 55.84 Fe.upf
CELL_PARAMETERS angstrom
-2.752 -2.428 -1.425
9.196 -3.151 -12.389
3.237 -5.968 3.921
ATOMIC_POSITIONS angstrom
Ti 4.597 -1.575 -6.193
Ti 9.195 -3.151 -12.387
Ti 2.300 -0.788 -3.099
Ti 10.135 -8.332 -5.373
Sr 2.898 -3.918 -4.358
Sr 7.496 -5.494 -10.553
Sr 4.484 -6.841 -2.438
Sr 0.600 -3.132 -1.260
Sr 6.782 -7.627 -5.536
Sr 5.198 -4.708 -7.454
Sr 9.082 -8.417 -8.632
Sr 2.184 -6.052 0.658
O 1.150 -0.394 -1.549
O 9.435 -7.348 -11.137
O 7.820 -4.365 -13.101
O 10.004 -4.642 -11.408
O 5.406 -3.067 -5.213
O 5.067 -4.166 -2.686
O 3.222 -2.790 -6.907
O 0.016 -5.806 -1.013
O 4.837 -5.773 -4.942
O 6.913 -8.170 -10.305
O 7.143 -6.563 -8.048
O 8.871 -10.056 -10.871
O 7.707 -3.855 -8.313
O 1.976 -7.693 -1.583
O 0.923 -2.002 -3.810
O 2.545 -4.987 -1.854
O 3.109 -2.279 -2.119
O 4.273 -8.480 -4.677
O 5.295 -5.186 -12.265
O 0.697 -3.610 -6.071
O 6.574 -9.269 -7.777
O 7.366 -4.954 -5.783
O 2.996 -4.398 -9.168
O 8.758 -9.546 -6.084
Fe 3.912 -3.770 -1.130
Fe 3.470 -6.989 -5.666
Fe 1.623 -2.986 1.953
Fe 8.510 -5.346 -7.324
! calculated formation energy: -2780 kJ/mol of formula units

=====

No. 5
! Li2Co2Si2O7 | Materials Project | GGA+U | relaxed; values from VASP
&SYSTEM
  ibrav = 0, nat = 26, ntyp = 4
/
ATOMIC_SPECIES
O 16.00 O.upf
Li 6.94 Li.upf
Co 58.93 Co.upf
Si 28.09 Si.upf
CELL_PARAMETERS angstrom
3.136 -2.887 2.378
-10.106 -6.864 5.001
1.565 -3.995 -2.323
ATOMIC_POSITIONS angstrom
O -6.864 -9.613 3.262
O 0.712 -4.661 -0.440
O -6.150 -12.016 4.094
O -5.490 -9.776 5.598
O -3.705 -4.767 1.561
O -4.432 -7.960 2.058
O -1.719 -6.313 0.762
O -2.159 -9.305 2.118
O -3.185 -8.210 4.457
O -1.485 -3.623 0.739
O 0.285 -2.055 -0.413
O -1.390 -4.950 3.083
O 0.913 -3.383 1.944
O -4.272 -10.372 3.267
Li -4.571 -6.110 2.719
Li -7.930 -8.393 4.382
Li -0.979 -7.738 1.903
Li 2.380 -5.456 0.241
Co -1.960 -6.350 4.747
Co -4.461 -8.039 6.089
Co 0.603 -4.621 3.589
Co 3.092 -2.918 2.248
Si -3.453 -8.900 2.998
Si 0.185 -3.399 0.483
Si -5.740 -10.453 4.130
Si -2.099 -4.951 1.612
! calculated formation energy: -3046 kJ/mol of formula units

=====

No. 6
! Li7Fe7SiO16 | Materials Project | GGA+U | relaxed; values from VASP
&SYSTEM
  ibrav = 0, nat = 31, ntyp = 4
/
ATOMIC_SPECIES
O 16.00 O.upf
Si 28.09 Si.upf
Li 6.94 Li.upf
Fe 55.84 Fe.upf
CELL_PARAMETERS angstrom
5.128 0.000 0.000
0.039 5.613 0.000
0.037 0.022 12.911
ATOMIC_POSITIONS angstrom
O 3.258 0.465 2.474
O 0.646 5.124 7.410
O 0.630 2.289 2.326
O 3.268 3.243 7.175
O 3.322 3.428 1.011
O 0.422 2.084 12.180
O 0.723 5.181 3.885
O 3.283 3.434 10.301
O 0.689 2.394 5.716
O 3.160 0.477 5.579
O 0.605 5.261 0.563
O 0.627 2.310 8.823
O 3.264 0.490 8.943
O 0.714 5.410 10.728
O 3.532 0.275 12.068
O 3.185 3.300 4.113
Si 5.139 0.513 12.119
Li 2.668 5.169 7.289
Li 2.684 5.186 0.774
Li 2.619 2.377 2.401
Li 5.145 3.133 10.541
Li 2.636 2.379 8.898
Li 0.064 3.243 3.997
Li 0.061 0.454 5.653
Fe 2.659 5.126 4.012
Fe 2.615 2.318 5.643
Fe 0.028 0.513 2.373
Fe 0.049 3.296 7.283
Fe 5.067 3.236 0.758
Fe 2.734 5.098 10.526
Fe 5.144 0.521 8.909
! calculated formation energy: -5879 kJ/mol of formula units

=====

No. 7
! Li4V3P8O29 | Materials Project | GGA+U | relaxed; values from VASP
&SYSTEM
  ibrav = 0, nat = 88, ntyp = 4
/
ATOMIC_SPECIES
P 30.97 P.upf
O 16.00 O.upf
V 50.94 V.upf
Li 6.94 Li.upf
CELL_PARAMETERS angstrom
-1.261 4.549 -8.534
4.574 -3.317 -7.952
-11.117 -8.498 -2.942
ATOMIC_POSITIONS angstrom
P -9.169 -6.401 -4.982
P -5.990 -4.928 -7.353
P -4.311 -0.099 -7.563
P -1.441 1.787 -10.744
P -9.156 -4.694 -10.141
P -1.896 -2.313 -12.027
P -0.854 -4.152 -8.395
P 1.389 -2.454 -9.309
P -6.373 -9.060 -8.664
P -6.821 -3.114 -11.038
P -7.471 -6.523 -13.516
P 1.392 -0.870 -14.456
P -3.509 -7.181 -11.875
P -2.838 -3.190 -3.437
P -4.944 -4.064 -15.998
P -0.342 -0.785 -5.883
O 2.465 -2.025 -8.354
O -0.615 -3.171 -11.810
O -6.947 -2.616 -12.481
O -3.384 -0.750 -8.648
O -4.148 -5.368 -15.598
O -6.036 -4.625 -17.078
O 0.689 -3.757 -8.685
O -0.826 3.100 -10.374
O -6.113 -4.502 -11.021
O -6.177 -2.120 -10.115
O -1.984 -3.661 -4.659
O -8.136 -5.852 -10.074
O -3.704 -1.976 -3.826
O 0.033 -2.322 -5.974
O -9.298 -5.564 -6.297
O -1.467 -0.651 -4.847
O 0.355 0.299 -14.243
O -7.335 -4.143 -7.633
O -5.735 -3.569 -14.784
O 1.903 -2.857 -10.700
O -5.897 -10.115 -12.324
O -1.273 0.770 -9.572
O 0.897 0.014 -5.715
O -8.659 -7.343 -13.876
O -1.556 -1.249 -13.166
O 0.628 -1.854 -15.517
O -3.922 -0.664 -6.175
O -4.532 -6.625 -10.836
O -0.918 1.151 -12.050
O -4.899 0.280 -11.324
O -5.740 -0.298 -7.946
O -6.272 -6.662 -14.565
O -6.887 -8.363 -7.388
O -2.138 -1.423 -10.750
O -6.628 -8.108 -9.890
O -4.033 -3.105 -16.666
O -1.235 -5.244 -9.346
O -4.872 -3.975 -7.150
O -8.314 -3.361 -10.494
O -9.733 -4.420 -8.730
O -3.877 -6.627 -13.268
O -1.048 -0.510 -7.301
O -2.108 -6.912 -11.427
O 0.278 -1.382 -9.477
O -6.967 -10.400 -8.939
O -10.226 -4.856 -11.174
O -8.353 -5.441 -3.957
O -6.290 -5.932 -6.231
O -8.238 -7.610 -5.198
O -7.827 -5.011 -13.424
O -1.665 -2.848 -8.524
O 1.527 -1.655 -13.151
O -0.852 -4.638 -6.923
O -6.831 -6.955 -12.145
O -5.811 -5.814 -8.692
O 2.622 -0.333 -15.085
O -1.763 -2.594 -2.377
O -3.113 -3.118 -12.319
V -6.297 -7.777 -5.668
V -1.502 0.482 -13.761
V -3.293 -0.124 -4.462
V -4.563 -7.156 -14.983
V -1.491 -0.979 -8.989
V -6.288 -6.262 -10.377
Li -10.022 -4.964 -13.154
Li -1.118 -5.213 -11.326
Li -1.026 4.118 -8.370
Li -6.673 -2.009 -8.127
Li 2.270 -2.316 -6.301
Li -7.341 -9.038 -11.644
Li -4.349 -1.372 -10.484
Li -1.285 -7.239 -9.280
! calculated formation energy: -10948 kJ/mol of formula units

=====

No. 8
! Li3AlFe2O6 | Materials Project | GGA+U | relaxed; values from VASP
&SYSTEM
  ibrav = 0, nat = 24, ntyp = 4
/
ATOMIC_SPECIES
O 16.00 O.upf
Fe 55.84 Fe.upf
Li 6.94 Li.upf
Al 26.98 Al.upf
CELL_PARAMETERS angstrom
-0.627 -1.740 -5.065
-1.114 -5.411 2.039
-7.532 2.161 1.406
ATOMIC_POSITIONS angstrom
O -4.755 0.142 0.428
O -7.583 -0.530 -2.631
O -1.689 -4.460 1.010
O -4.034 -3.259 0.420
O -7.448 -0.451 0.335
O -4.518 -5.132 -2.049
O -2.364 -1.282 -1.918
O -2.906 -3.096 -3.895
O -5.239 -1.731 -2.040
O -6.909 -3.707 0.297
O -1.825 -4.539 -1.955
O -6.366 -1.894 2.274
Fe -7.969 -2.245 0.962
Fe -1.303 -2.744 -2.583
Fe -5.468 -3.511 1.629
Fe -3.804 -1.479 -3.250
Li -3.165 -4.803 -0.432
Li -8.305 -4.034 -1.209
Li -6.108 -0.186 -1.189
Li -0.967 -0.956 -0.412
Li -3.805 -1.517 -0.483
Li -5.467 -3.473 -1.138
Al -6.646 -1.909 -3.324
Al -2.626 -3.081 1.704
! calculated formation energy: -2641 kJ/mol of formula units

=====

- Look up the calculated formation energy of the second one.
  -2990 kJ/mol of formula units

=====

- Among the records above, which one has the highest calculated formation energy?
  SmFeO3

=====

Repeat the first record exactly.
! SmFeO3 | Materials Project | GGA+U | relaxed; values from VASP
&SYSTEM
  ibrav = 0, nat = 20, ntyp = 3
/
ATOMIC_SPECIES
Fe 55.84 Fe.upf
Sm 150.36 Sm.upf
O 16.00 O.upf
CELL_PARAMETERS angstrom
7.900 0.000 0.000
0.000 6.195 0.000
0.000 0.000 6.619
ATOMIC_POSITIONS angstrom
Fe 3.950 0.000 0.000
Fe 0.000 3.097 3.310
Fe 0.000 3.097 0.000
Fe 3.950 0.000 3.310
Sm 7.146 5.865 4.965
Sm 4.704 2.767 4.965
Sm 0.754 0.330 1.655
Sm 3.196 3.428 1.655
O 4.408 4.414 6.559
O 6.970 3.436 4.965
O 4.408 4.414 3.371
O 7.442 1.316 6.559
O 0.458 4.878 0.061
O 3.492 1.781 3.249
O 4.880 0.338 4.965
O 7.442 1.316 3.371
O 3.020 5.857 1.655
O 0.458 4.878 3.249
O 3.492 1.781 0.061
O 0.930 2.759 1.655
! calculated formation energy: -1191 kJ/mol of formula units

=====

- Which formula does entry 5 have?
  Li2Co2Si2O7